No. 1
Ce3Al12Ru4 | meta-GGA r2SCAN | optimized geometry

The structure in extended XYZ format:
```
38
Lattice="4.427 -7.667 0.000 4.427 7.667 0.000 0.000 0.000 9.540" Properties=species:S:1:pos:R:3 pbc="T T T"
Al 8.853 0.000 7.155
Al 2.150 1.242 8.799
Al 4.427 -5.183 0.739
Al 8.853 0.000 2.385
Al 6.702 -1.242 4.031
Al 3.037 3.358 7.155
Al 5.817 -3.358 2.385
Al 4.427 2.556 4.750
Al 2.151 -1.242 0.739
Al 3.037 -3.358 2.385
Al 4.427 5.184 8.799
Al 2.151 -1.242 4.031
Al 4.427 0.951 7.155
Al 4.427 -5.184 4.031
Al 6.703 1.242 5.512
Al 5.817 3.358 7.155
Al 4.427 5.184 5.512
Al 4.427 -2.556 4.792
Al 4.427 -2.556 9.518
Al 4.427 2.556 0.020
Al 6.703 1.242 8.799
Al 4.427 -0.951 2.385
Al 2.150 1.242 5.512
Al 6.702 -1.242 0.739
Ru 6.640 -3.833 9.539
Ru 4.427 0.000 9.539
Ru 2.214 -3.834 4.771
Ru 8.853 0.000 9.540
Ru 4.427 0.000 4.771
Ru 8.853 0.000 4.771
Ru 2.214 -3.834 9.539
Ru 6.640 -3.833 4.772
Ce 6.283 -1.484 7.156
Ce 6.285 1.483 2.385
Ce 2.570 -1.484 7.156
Ce 4.427 -4.700 7.156
Ce 2.568 1.483 2.385
Ce 4.427 4.701 2.385
```

Computed properties:
**Magnetization**: 4.5 μB/cell
**Formation energy from the elements**: -0.698 eV per atom

***

No. 2
TmTl3 | meta-GGA r2SCAN | optimized geometry

The structure in extended XYZ format:
```
4
Lattice="-4.336 -0.923 1.547 1.721 -3.316 2.844 0.533 3.193 3.401" Properties=species:S:1:pos:R:3 pbc="T T T"
Tl -1.307 -2.120 2.195
Tl -1.901 1.135 2.474
Tl 1.127 -0.062 3.122
Tm 0.000 0.000 0.000
```

Computed properties:
**Magnetization**: 0.0 μB/cell
**Formation energy from the elements**: -0.230 eV per atom

***

No. 3
CaRhO3 | meta-GGA r2SCAN | optimized geometry

The structure in extended XYZ format:
```
30
Lattice="0.000 3.133 0.000 -0.008 0.000 8.875 12.079 0.000 -3.033" Properties=species:S:1:pos:R:3 pbc="T T T"
O 3.552 0.783 5.082
O 5.458 2.350 6.361
O 8.519 2.350 0.760
O 6.642 0.783 2.009
O 0.165 0.783 7.793
O 7.444 0.783 5.114
O 11.029 2.350 0.703
O 2.309 2.350 3.143
O 9.762 0.783 2.699
O 5.429 2.350 3.833
O 9.483 0.783 -1.281
O 1.042 0.783 5.139
O 9.896 2.350 5.280
O 6.613 0.783 -0.519
O 2.175 0.783 0.562
O 2.588 2.350 7.123
O 4.627 2.350 0.728
O 11.906 2.350 -1.951
Rh 1.308 2.350 -0.324
Rh 5.498 0.783 5.081
Rh 2.340 2.350 5.141
Rh 9.731 0.783 0.701
Rh 6.573 2.350 0.761
Rh 10.763 0.783 6.166
Ca 4.002 0.783 2.402
Ca 11.440 2.350 3.061
Ca 7.840 2.350 6.846
Ca 4.232 0.783 -1.004
Ca 0.631 0.783 2.781
Ca 8.070 2.350 3.440
```

Computed properties:
**Magnetization**: 0.1 μB/cell
**Formation energy from the elements**: -1.927 eV per atom

***

No. 4
La3Ge2Rh2 | meta-GGA r2SCAN | optimized geometry

The structure in extended XYZ format:
```
28
Lattice="-2.557 1.206 4.961 -7.333 0.256 -3.841 -1.703 -13.335 2.365" Properties=species:S:1:pos:R:3 pbc="T T T"
La -2.188 -7.739 1.782
La -3.459 -0.997 -0.513
La -3.954 -2.484 2.840
La -8.883 -0.040 0.977
La -4.742 -9.154 4.056
La -2.711 -11.832 2.507
La -3.982 -5.091 0.213
La -7.640 -9.389 0.644
La -6.852 -2.719 -0.571
La -8.135 -10.875 3.997
La -9.406 -4.134 1.703
La -7.612 -6.782 3.271
Rh -1.997 -4.963 2.726
Rh -1.459 -0.747 1.978
Rh -6.238 -4.564 1.919
Rh -5.700 -0.348 1.172
Rh -5.355 -7.308 1.565
Rh -5.894 -11.524 2.313
Rh -10.135 -11.126 1.507
Rh -9.596 -6.910 0.759
Ge -4.360 -5.813 3.472
Ge -3.508 0.854 2.290
Ge -4.562 -9.716 1.015
Ge -6.382 0.608 -1.170
Ge -7.031 -2.157 2.470
Ge -1.588 -3.123 0.944
Ge -10.005 -8.750 2.541
Ge -7.233 -6.060 0.012
```

Computed properties:
**Magnetization**: 0.0 μB/cell
**Formation energy from the elements**: -0.970 eV per atom

***

No. 5
AcFeO3 | meta-GGA r2SCAN | optimized geometry

The structure in extended XYZ format:
```
5
Lattice="3.954 0.000 0.000 0.000 3.954 0.000 0.000 0.000 3.954" Properties=species:S:1:pos:R:3 pbc="T T T"
O 3.954 1.977 1.977
O 1.977 1.977 3.954
O 1.977 3.954 1.977
Fe 1.977 1.977 1.977
Ac 0.000 0.000 0.000
```

Computed properties:
**Magnetization**: 4.3 μB/cell
**Formation energy from the elements**: -2.741 eV per atom

***

No. 6
Pr3Zn22 | meta-GGA r2SCAN | optimized geometry

The structure in extended XYZ format:
```
50
Lattice="-8.587 -1.305 -1.457 -0.179 -6.009 6.437 2.051 11.207 4.493" Properties=species:S:1:pos:R:3 pbc="T T T"
Zn -2.881 2.505 2.337
Zn -0.560 1.131 2.289
Zn 0.840 5.010 4.780
Zn -1.214 4.585 3.047
Zn -0.406 7.222 3.717
Zn -3.835 1.388 7.135
Zn -4.229 3.198 9.099
Zn -7.468 1.808 1.559
Zn -6.103 4.521 5.299
Zn -1.764 5.549 5.424
Zn -3.268 4.951 1.518
Zn -2.994 0.060 2.985
Zn -0.090 -3.004 3.218
Zn -1.339 0.385 7.547
Zn -6.309 -3.329 5.755
Zn -4.871 1.056 1.143
Zn -0.613 -0.628 4.173
Zn -6.155 2.762 7.183
Zn -6.763 -3.151 3.102
Zn -2.968 -0.420 5.471
Zn -0.049 3.834 9.809
Zn 0.000 0.000 0.000
Zn 0.154 4.422 7.145
Zn -7.406 -2.398 0.567
Zn -3.795 -2.947 6.182
Zn -1.403 -1.486 1.586
Zn -4.134 6.408 5.661
Zn -5.502 -0.693 6.425
Zn -6.667 0.059 -0.337
Zn -7.556 -1.118 4.692
Zn -2.486 0.694 0.373
Zn -6.870 -0.529 2.327
Zn -4.952 -1.656 4.049
Zn -5.313 5.379 7.886
Zn 0.753 2.085 7.914
Zn -2.582 -2.515 3.811
Zn 0.047 7.044 6.370
Zn -5.376 3.508 1.925
Zn 1.025 5.603 2.247
Zn 0.690 6.291 8.905
Zn -3.747 4.313 4.001
Zn -2.920 6.840 3.291
Zn -1.845 2.837 8.329
Zn -3.722 3.833 6.487
Pr -0.718 -2.619 6.573
Pr -4.355 -2.100 0.931
Pr -5.998 6.512 2.899
Pr -2.360 5.992 8.541
Pr -1.228 2.328 5.152
Pr -5.488 1.565 4.321
```

Computed properties:
**Magnetization**: 0.0 μB/cell
**Formation energy from the elements**: -0.308 eV per atom

***

No. 7
NbSe4 | meta-GGA r2SCAN | optimized geometry

The structure in extended XYZ format:
```
10
Lattice="-4.362 -3.150 2.560 3.478 -4.838 -0.025 2.270 1.602 5.840" Properties=species:S:1:pos:R:3 pbc="T T T"
Se 1.541 -5.250 0.841
Se -1.470 -5.934 2.200
Se -1.469 -3.556 5.128
Se -2.425 -2.738 1.694
Se 2.856 -2.829 3.247
Se 1.255 -5.476 4.596
Se 0.587 -2.053 0.335
Se 0.132 -0.910 3.779
Nb 0.568 0.401 1.460
Nb 1.703 1.202 4.380
```

Computed properties:
**Magnetization**: 0.0 μB/cell
**Formation energy from the elements**: -0.584 eV per atom

***

No. 8
YEr3 | meta-GGA r2SCAN | optimized geometry

The structure in extended XYZ format:
```
8
Lattice="7.221 0.000 0.000 -3.611 6.253 0.000 0.000 0.000 5.555" Properties=species:S:1:pos:R:3 pbc="T T T"
Er -1.817 5.218 1.389
Er 0.000 2.071 1.389
Er 3.610 4.182 4.167
Er 5.427 1.035 4.167
Er 1.817 5.218 1.389
Er 1.793 1.035 4.167
Y 3.610 2.084 1.389
Y 0.000 4.169 4.167
```

Computed properties:
**Magnetization**: 0.0 μB/cell
**Formation energy from the elements**: 0.025 eV per atom

***

| no. | V (Å³/cell) |
| --- | --- |
| 1 | 647.62 |
| 2 | 103.50 |
| 3 | 335.79 |
| 4 | 645.54 |
| 5 | 61.80 |
| 6 | 817.93 |
| 7 | 229.63 |
| 8 | 250.84 |